# 1
Zr2InCo2: relaxed, r²SCAN.

Summary:
**ΔH_f (0 K)**: -348 meV per atom
**Final energy**: -192.573 eV for the cell shown

abc: 7.205 7.205 3.365
angles: 90.00 90.00 90.00
Fractional coordinates of all 10 atoms:
Zr1 0.327 0.827 0.500
Co1 0.883 0.383 0.000
Co2 0.117 0.617 0.000
Zr2 0.827 0.673 0.500
In1 0.000 0.000 0.000
Zr3 0.673 0.173 0.500
Co3 0.383 0.117 0.000
In2 0.500 0.500 0.000
Co4 0.617 0.883 0.000
Zr4 0.173 0.327 0.500



# 2
Co3Ir: relaxed, r²SCAN.

Summary:
**ΔH_f (0 K)**: 60 meV per atom
**Final energy**: -91.824 eV for the cell shown

abc: 2.609 2.609 8.127
angles: 90.00 90.00 120.00
Fractional coordinates of all 4 atoms:
Ir1 0.333 0.667 0.500
Co1 0.000 0.000 0.238
Co2 0.000 0.000 0.762
Co3 0.333 0.667 0.000



# 3
KCo2O4: relaxed, r²SCAN.

Summary:
**ΔH_f (0 K)**: -1460 meV per atom
**Final energy**: -266.400 eV for the cell shown

abc: 5.626 4.874 12.426
angles: 90.02 90.04 90.02
Fractional coordinates of all 28 atoms:
O1 0.500 0.666 0.925
O2 0.000 0.668 0.577
O3 0.500 0.666 0.575
O4 0.249 0.834 0.078
K1 0.501 0.636 0.250
Co1 0.750 0.500 0.500
K2 0.500 0.961 0.750
K3 0.000 0.039 0.250
O5 0.251 0.166 0.922
O6 0.749 0.165 0.578
Co2 0.750 0.500 0.000
O7 0.500 0.332 0.077
O8 0.000 0.334 0.075
O9 0.248 0.833 0.422
O10 0.500 0.332 0.423
Co3 0.501 0.000 0.499
O11 0.252 0.167 0.578
Co4 0.000 0.000 0.999
O12 0.751 0.835 0.422
Co5 0.999 0.000 0.501
O13 0.749 0.166 0.922
Co6 0.250 0.500 0.000
Co7 0.500 0.000 0.001
K4 0.999 0.364 0.750
O14 0.751 0.834 0.078
O15 0.000 0.334 0.425
Co8 0.250 0.500 0.500
O16 0.000 0.668 0.923